Entry from the Materials Project database: crystalline Mg11Ti25O60 at its relaxed geometry (PBE-GGA).

Cell: 10.5154 11.3407 11.3883 Å, 99.55 110.02 111.07°
Closest atoms and distances in Å follow each position.
Fractional coordinates of all 96 atoms:
Mg: 0.0000 0.0000 0.0000  6 O 2.01-2.20
Mg: 0.9999 0.3305 0.9999  6 O 2.01-2.20
Mg: 0.3587 0.0357 0.5007  6 O 2.02-2.22
Mg: 0.3585 0.3679 0.4999  6 O 2.02-2.22
Mg: 0.3586 0.7010 0.5007  6 O 2.02-2.21
Mg: 0.5010 0.3316 0.9997  6 O 2.02-2.21
Mg: 0.5013 0.6663 0.0000  6 O 2.02-2.21
Mg: 0.5016 0.9992 0.0001  6 O 2.02-2.21
Mg: 0.8578 0.3673 0.4991  6 O 2.02-2.22
Mg: 0.8580 0.7015 0.4990  6 O 2.02-2.22
Mg: 0.8586 0.0349 0.5003  6 O 2.02-2.21
Ti: 0.0025 0.6661 0.9999  6 O 1.95-2.13
Ti: 0.0783 0.8286 0.8109  4 O 1.82-2.00
Ti: 0.0790 0.4914 0.8112  4 O 1.81-2.00
Ti: 0.0803 0.1616 0.8169  5 O 1.82-2.03
Ti: 0.0961 0.0836 0.3171  5 O 1.82-2.03
Ti: 0.0957 0.4165 0.3166  4 O 1.82-2.00
Ti: 0.1003 0.7520 0.3200  4 O 1.82-1.98
Ti: 0.2625 0.2833 0.1830  5 O 1.83-2.02
Ti: 0.2679 0.6173 0.1887  4 O 1.81-2.00
Ti: 0.2682 0.9550 0.1889  4 O 1.81-2.00
Ti: 0.2798 0.2050 0.6831  5 O 1.82-2.03
Ti: 0.2822 0.5406 0.6832  5 O 1.85-2.02
Ti: 0.2829 0.8739 0.6852  5 O 1.85-2.05
Ti: 0.5758 0.4928 0.8159  6 O 1.92-2.14
Ti: 0.5798 0.1615 0.8169  5 O 1.82-2.03
Ti: 0.5799 0.8283 0.8170  5 O 1.82-2.03
Ti: 0.5952 0.4153 0.3150  4 O 1.82-1.99
Ti: 0.5992 0.0844 0.3167  5 O 1.85-2.03
Ti: 0.5990 0.7519 0.3168  5 O 1.85-2.02
Ti: 0.7598 0.6156 0.1837  6 O 1.92-2.14
Ti: 0.7626 0.2834 0.1828  5 O 1.82-2.02
Ti: 0.7629 0.9503 0.1829  5 O 1.82-2.03
Ti: 0.7792 0.2053 0.6832  5 O 1.82-2.03
Ti: 0.7793 0.8726 0.6833  4 O 1.82-2.01
Ti: 0.7802 0.5386 0.6798  4 O 1.82-1.98
O: 0.0245 0.6433 0.8191  4 Ti 2.00-2.22
O: 0.0264 0.3111 0.8154  2 Ti 1.93-1.97
O: 0.0264 0.9756 0.8154  2 Ti 1.93-1.97
O: 0.0771 0.1305 0.6368  2 Ti 1.82-2.01, 1 Mg 2.02
O: 0.0767 0.4640 0.6365  2 Ti 1.85-1.95, 1 Mg 2.03
O: 0.0766 0.7966 0.6363  2 Ti 1.85-1.95, 1 Mg 2.02
O: 0.0788 0.5317 0.0000  3 Ti 1.96-2.12, 1 Mg 2.13
O: 0.0787 0.8514 0.9999  3 Ti 1.96-2.13, 1 Mg 2.13
O: 0.0866 0.1942 0.0002  2 Ti 2.02-2.03, 2 Mg 2.06
O: 0.1483 0.2668 0.3122  3 Ti 1.96-2.19
O: 0.1483 0.6005 0.3129  3 Ti 1.95-2.18
O: 0.1482 0.9331 0.3128  3 Ti 1.95-2.18
O: 0.2053 0.7638 0.1807  4 Ti 2.00-2.22
O: 0.2110 0.0986 0.1846  2 Ti 1.93-1.97
O: 0.2110 0.4342 0.1845  2 Ti 1.93-1.97
O: 0.2730 0.1732 0.5000  2 Ti 2.03, 2 Mg 2.06
O: 0.2731 0.5062 0.5005  2 Ti 2.01-2.04, 2 Mg 2.06-2.07
O: 0.2726 0.8393 0.4992  2 Ti 1.98-2.05, 2 Mg 2.07
O: 0.2821 0.5697 0.8634  2 Ti 1.81-2.02, 1 Mg 2.02
O: 0.2820 0.9032 0.8632  2 Ti 1.82-2.00, 1 Mg 2.03
O: 0.2826 0.2367 0.8632  2 Ti 1.82-2.01, 1 Mg 2.02
O: 0.3350 0.0579 0.6868  2 Ti 1.95-1.96
O: 0.3350 0.7249 0.6868  2 Ti 1.95-1.96
O: 0.3382 0.3929 0.6889  3 Ti 1.97-2.14
O: 0.4195 0.3281 0.1368  2 Ti 1.83-1.99, 1 Mg 2.02
O: 0.4187 0.6608 0.1365  2 Ti 1.81-2.02, 1 Mg 2.02
O: 0.4186 0.9944 0.1364  2 Ti 1.81-2.03, 1 Mg 2.02
O: 0.4401 0.0387 0.3633  2 Ti 1.85-1.95, 1 Mg 2.02
O: 0.4405 0.3727 0.3635  2 Ti 1.82-2.02, 1 Mg 2.02
O: 0.4401 0.7061 0.3634  2 Ti 1.85-1.95, 1 Mg 2.02
O: 0.5239 0.6419 0.8127  3 Ti 1.96-2.17
O: 0.5237 0.9753 0.8125  3 Ti 1.96-2.16
O: 0.5248 0.3093 0.8131  2 Ti 1.95-1.96
O: 0.5771 0.1304 0.6365  2 Ti 1.82-2.02, 1 Mg 2.02
O: 0.5771 0.7971 0.6365  2 Ti 1.82-2.02, 1 Mg 2.02
O: 0.5797 0.4652 0.6397  2 Ti 1.82-2.00
O: 0.5868 0.1941 0.0000  2 Ti 2.02-2.03, 2 Mg 2.06-2.07
O: 0.5868 0.8609 0.9999  2 Ti 2.03, 2 Mg 2.06-2.07
O: 0.5880 0.5280 0.0000  2 Ti 2.02, 2 Mg 2.08
O: 0.6481 0.2671 0.3130  2 Ti 1.95-1.96
O: 0.6479 0.9333 0.3128  2 Ti 1.95
O: 0.6493 0.6001 0.3112  3 Ti 1.97-2.14, 1 Mg 2.21
O: 0.7113 0.1004 0.1876  3 Ti 1.96-2.17
O: 0.7112 0.7666 0.1873  3 Ti 1.95-2.17
O: 0.7116 0.4340 0.1867  2 Ti 1.94-1.96
O: 0.7726 0.1728 0.4996  2 Ti 2.02-2.03, 2 Mg 2.06-2.07
O: 0.7726 0.8391 0.4994  2 Ti 2.01-2.04, 2 Mg 2.06-2.07
O: 0.7737 0.5070 0.5009  2 Ti 1.98-2.06, 2 Mg 2.07
O: 0.7824 0.2367 0.8631  2 Ti 1.82-2.01, 1 Mg 2.01
O: 0.7824 0.9030 0.8631  2 Ti 1.82-2.01, 1 Mg 2.01
O: 0.7905 0.5739 0.8706  3 Ti 1.92-2.10
O: 0.8354 0.3919 0.6871  3 Ti 1.95-2.18
O: 0.8358 0.0584 0.6874  3 Ti 1.96-2.20
O: 0.8356 0.7247 0.6872  3 Ti 1.96-2.17
O: 0.9193 0.3281 0.1368  2 Ti 1.82-2.00, 1 Mg 2.01
O: 0.9192 0.9944 0.1367  2 Ti 1.82-2.01, 1 Mg 2.01
O: 0.9198 0.6601 0.1293  3 Ti 1.92-2.10
O: 0.9403 0.0392 0.3633  2 Ti 1.82-2.01, 1 Mg 2.02
O: 0.9405 0.3727 0.3634  2 Ti 1.82-2.02, 1 Mg 2.02
O: 0.9400 0.7053 0.3602  2 Ti 1.82-2.00

Summary:
The formation energy is -3427 meV per atom. Its crystal system is triclinic. As for the total moment: 2.00 μB/f.u. Its space group is P1 (1).

***

Entry from the Materials Project database: crystalline MgSi at its relaxed geometry (PBE-GGA).

Cell: 5.1869 3.6143 12.3757 Å, 90.00 97.43 90.00°
Closest atoms and distances in Å follow each position.
Fractional coordinates of all 12 atoms:
Mg: 0.0329 0.2500 0.2792  6 Si 2.71-2.97
Mg: 0.2553 0.2500 0.9452  6 Si 2.70-2.97
Mg: 0.4271 0.2500 0.6129  6 Si 2.70-2.95
Mg: 0.5729 0.7500 0.3871  6 Si 2.70-2.95
Mg: 0.7447 0.7500 0.0548  6 Si 2.70-2.97
Mg: 0.9671 0.7500 0.7208  6 Si 2.71-2.97
Si: 0.1062 0.7500 0.4619  2 Si 2.37
Si: 0.2602 0.7500 0.1256  2 Si 2.39
Si: 0.4834 0.7500 0.7927  2 Si 2.39
Si: 0.5166 0.2500 0.2073  2 Si 2.39
Si: 0.7398 0.2500 0.8744  2 Si 2.39
Si: 0.8938 0.2500 0.5381  2 Si 2.37

Summary:
The formation energy is 3 meV per atom. Its crystal system is monoclinic. As for the total moment: 0.00 μB/f.u. Its space group is P2_1/m (11).

***

Entry from the Materials Project database: crystalline MgGe4N4 at its relaxed geometry (PBE-GGA).

Cell: 5.8733 11.4327 7.1559 Å, 90.00 90.00 90.00°
Closest atoms and distances in Å follow each position.
Fractional coordinates of all 36 atoms:
Mg: 0.1716 0.2500 0.2500  4 N 2.15-2.19
Mg: 0.3284 0.7500 0.2500  4 N 2.15-2.19
Mg: 0.6716 0.2500 0.7500  4 N 2.15-2.19
Mg: 0.8284 0.7500 0.7500  4 N 2.15-2.19
Ge: 0.1749 0.1494 0.6641  2 N 1.96-2.00
Ge: 0.1749 0.3506 0.8359  2 N 1.96-2.00
Ge: 0.2500 0.0000 0.2941  4 N 1.89-1.94
Ge: 0.2500 0.0000 0.9101  4 N 2.05-2.21
Ge: 0.2500 0.5000 0.2059  4 N 1.89-1.94
Ge: 0.2500 0.5000 0.5899  4 N 2.05-2.21
Ge: 0.3251 0.6494 0.8359  2 N 1.96-2.00
Ge: 0.3251 0.8506 0.6641  2 N 1.96-2.00
Ge: 0.6749 0.1494 0.3359  2 N 1.96-2.00
Ge: 0.6749 0.3506 0.1641  2 N 1.96-2.00
Ge: 0.7500 0.0000 0.0899  4 N 2.05-2.21
Ge: 0.7500 0.0000 0.7059  4 N 1.89-1.94
Ge: 0.7500 0.5000 0.4101  4 N 2.05-2.21
Ge: 0.7500 0.5000 0.7941  4 N 1.89-1.94
Ge: 0.8251 0.6494 0.1641  2 N 1.96-2.00
Ge: 0.8251 0.8506 0.3359  2 N 1.96-2.00
N: 0.0827 0.0877 0.1181  2 Ge 1.89-2.05
N: 0.0827 0.4123 0.3819  2 Ge 1.89-2.05
N: 0.1403 0.6329 0.0624  3 Ge 1.94-2.00
N: 0.1403 0.8671 0.4376  3 Ge 1.94-2.00
N: 0.3598 0.1329 0.4376  3 Ge 1.94-2.00
N: 0.3598 0.3671 0.0624  3 Ge 1.94-2.00
N: 0.4173 0.5877 0.3819  2 Ge 1.89-2.05
N: 0.4173 0.9123 0.1181  2 Ge 1.89-2.05
N: 0.5827 0.0877 0.8819  2 Ge 1.89-2.05
N: 0.5827 0.4123 0.6181  2 Ge 1.89-2.05
N: 0.6402 0.6329 0.9376  3 Ge 1.94-2.00
N: 0.6402 0.8671 0.5624  3 Ge 1.94-2.00
N: 0.8598 0.1329 0.5624  3 Ge 1.94-2.00
N: 0.8598 0.3671 0.9376  3 Ge 1.94-2.00
N: 0.9173 0.5877 0.6181  2 Ge 1.89-2.05
N: 0.9173 0.9123 0.8819  2 Ge 1.89-2.05

Summary:
The formation energy is -46 meV per atom. Its crystal system is orthorhombic. As for the total moment: 0.00 μB/f.u. Its space group is Pnna (52).

***

Entry from the Materials Project database: crystalline PuUC3 at its relaxed geometry (PBE-GGA).

Cell: 6.9912 6.9912 6.9912 Å, 109.47 109.47 109.47°
Closest atoms and distances in Å follow each position.
Fractional coordinates of all 20 atoms:
Pu: 0.0000 0.5991 0.5000  6 C 2.45-2.55
Pu: 0.5000 0.0000 0.5991  6 C 2.45-2.55
Pu: 0.5991 0.5000 0.0000  6 C 2.45-2.55
Pu: 0.9009 0.9009 0.9009  6 C 2.45-2.55
U: 0.0000 0.0982 0.5000  6 C 2.45-2.54
U: 0.0982 0.5000 0.0000  6 C 2.45-2.54
U: 0.4018 0.4018 0.4018  6 C 2.45-2.54
U: 0.5000 0.0000 0.0982  6 C 2.45-2.54
C: 0.0384 0.7884 0.2500  1 C 1.41
C: 0.2135 0.9635 0.2500  1 C 1.41
C: 0.2500 0.0384 0.7884  1 C 1.41
C: 0.2500 0.2135 0.9635  1 C 1.41
C: 0.2865 0.5365 0.7500  1 C 1.41
C: 0.4616 0.7116 0.7500  1 C 1.41
C: 0.5365 0.7500 0.2865  1 C 1.41
C: 0.7116 0.7500 0.4616  1 C 1.41
C: 0.7500 0.2865 0.5365  1 C 1.41
C: 0.7500 0.4616 0.7116  1 C 1.41
C: 0.7884 0.2500 0.0384  1 C 1.41
C: 0.9635 0.2500 0.2135  1 C 1.41

Summary:
The formation energy is -90 meV per atom. Its crystal system is cubic. Its space group is I2_13 (199).

***

- Which formula does entry 2 have?
  MgSi

***

What did the third record say?
Entry from the Materials Project database: crystalline MgGe4N4 at its relaxed geometry (PBE-GGA).

Cell: 5.8733 11.4327 7.1559 Å, 90.00 90.00 90.00°
Closest atoms and distances in Å follow each position.
Fractional coordinates of all 36 atoms:
Mg: 0.1716 0.2500 0.2500  4 N 2.15-2.19
Mg: 0.3284 0.7500 0.2500  4 N 2.15-2.19
Mg: 0.6716 0.2500 0.7500  4 N 2.15-2.19
Mg: 0.8284 0.7500 0.7500  4 N 2.15-2.19
Ge: 0.1749 0.1494 0.6641  2 N 1.96-2.00
Ge: 0.1749 0.3506 0.8359  2 N 1.96-2.00
Ge: 0.2500 0.0000 0.2941  4 N 1.89-1.94
Ge: 0.2500 0.0000 0.9101  4 N 2.05-2.21
Ge: 0.2500 0.5000 0.2059  4 N 1.89-1.94
Ge: 0.2500 0.5000 0.5899  4 N 2.05-2.21
Ge: 0.3251 0.6494 0.8359  2 N 1.96-2.00
Ge: 0.3251 0.8506 0.6641  2 N 1.96-2.00
Ge: 0.6749 0.1494 0.3359  2 N 1.96-2.00
Ge: 0.6749 0.3506 0.1641  2 N 1.96-2.00
Ge: 0.7500 0.0000 0.0899  4 N 2.05-2.21
Ge: 0.7500 0.0000 0.7059  4 N 1.89-1.94
Ge: 0.7500 0.5000 0.4101  4 N 2.05-2.21
Ge: 0.7500 0.5000 0.7941  4 N 1.89-1.94
Ge: 0.8251 0.6494 0.1641  2 N 1.96-2.00
Ge: 0.8251 0.8506 0.3359  2 N 1.96-2.00
N: 0.0827 0.0877 0.1181  2 Ge 1.89-2.05
N: 0.0827 0.4123 0.3819  2 Ge 1.89-2.05
N: 0.1403 0.6329 0.0624  3 Ge 1.94-2.00
N: 0.1403 0.8671 0.4376  3 Ge 1.94-2.00
N: 0.3598 0.1329 0.4376  3 Ge 1.94-2.00
N: 0.3598 0.3671 0.0624  3 Ge 1.94-2.00
N: 0.4173 0.5877 0.3819  2 Ge 1.89-2.05
N: 0.4173 0.9123 0.1181  2 Ge 1.89-2.05
N: 0.5827 0.0877 0.8819  2 Ge 1.89-2.05
N: 0.5827 0.4123 0.6181  2 Ge 1.89-2.05
N: 0.6402 0.6329 0.9376  3 Ge 1.94-2.00
N: 0.6402 0.8671 0.5624  3 Ge 1.94-2.00
N: 0.8598 0.1329 0.5624  3 Ge 1.94-2.00
N: 0.8598 0.3671 0.9376  3 Ge 1.94-2.00
N: 0.9173 0.5877 0.6181  2 Ge 1.89-2.05
N: 0.9173 0.9123 0.8819  2 Ge 1.89-2.05

Summary:
The formation energy is -46 meV per atom. Its crystal system is orthorhombic. As for the total moment: 0.00 μB/f.u. Its space group is Pnna (52).